{
  "formula": "RbTaB2O6",
  "functional": "GGA-PBE",
  "state": "optimized geometry",
  "lattice": [[7.578, 0.000, 0.000], [0.000, 3.938, 0.000], [0.000, 0.000, 9.872]],
  "species": ["Rb", "Rb", "Ta", "Ta", "B", "B", "B", "B", "O", "O", "O", "O", "O", "O", "O", "O", "O", "O", "O", "O"],
  "fractional_positions": [[0.000, 0.066, 0.000], [0.500, 0.934, 0.500], [0.000, 0.407, 0.606], [0.500, 0.593, 0.106], [0.164, 0.510, 0.319], [0.336, 0.490, 0.819], [0.664, 0.490, 0.819], [0.836, 0.510, 0.319], [0.000, 0.532, 0.253], [0.000, 0.931, 0.606], [0.180, 0.442, 0.453], [0.190, 0.435, 0.741], [0.310, 0.565, 0.241], [0.320, 0.558, 0.953], [0.500, 0.069, 0.106], [0.500, 0.468, 0.753], [0.680, 0.558, 0.953], [0.690, 0.565, 0.241], [0.810, 0.435, 0.741], [0.820, 0.442, 0.453]],
  "ef_ev_per_atom": -3.011,
  "space_group": "Pmn2_1, No. 31",
  "total_energy_ev_per_atom": -8.19,
  "density_kg_m3": 4330,
  "energy_corrected_mp2020_ha_per_atom": -0.3160
}